1.
Here is an optimized crystal structure of SnSe from the Materials Project database. Energies are from GGA-PBE.

Calculated values
Its space group is P4/nmm, No. 129. The crystal system is tetragonal. The final energy is -4.139 eV/atom.

```
SnSe
1.0
4.3219 0.0000 0.0000
0.0000 4.3219 0.0000
0.0000 0.0000 12.0826
Sn Se
2 2
Direct
0.2500 0.2500 0.1138
0.7500 0.7500 0.8862
0.2500 0.2500 0.8888
0.7500 0.7500 0.1112
```

***

2.
Here is an optimized crystal structure of B from the Materials Project database. Energies are from GGA-PBE.

Calculated values
The total magnetization comes out at 0.0 Bohr magnetons per cell. The calculation puts the excess energy over the best structure of this formula in the dataset at 4.40 kcal/mol of atoms. Its space group is R-3m, No. 166. The crystal system is trigonal. The final energy is -6.489 eV/atom.

```
B
1.0
5.4904 3.1699 7.9438
-5.4904 3.1699 7.9438
0.0000 -6.3398 7.9438
B
105
Direct
0.0000 0.0000 0.0000
0.0048 0.7028 0.7028
0.0090 0.3932 0.3932
0.0097 0.0097 0.2860
0.0097 0.2860 0.0097
0.0457 0.3875 0.6786
0.0457 0.6786 0.3875
0.0804 0.5959 0.8645
0.0804 0.8645 0.5959
0.1067 0.1067 0.1067
0.1128 0.1128 0.2829
0.1128 0.2829 0.1128
0.1218 0.3005 0.8250
0.1218 0.8250 0.3005
0.1355 0.4041 0.9196
0.1355 0.9196 0.4041
0.1405 0.3237 0.5040
0.1405 0.5040 0.3237
0.1627 0.4969 0.4969
0.1750 0.6995 0.8782
0.1750 0.8782 0.6995
0.1854 0.7008 0.7008
0.2829 0.1128 0.1128
0.2860 0.0097 0.0097
0.2972 0.2972 0.9952
0.2972 0.9952 0.2972
0.2992 0.2992 0.8146
0.2992 0.8146 0.2992
0.3005 0.1218 0.8250
0.3005 0.8250 0.1218
0.3214 0.6125 0.9543
0.3214 0.9543 0.6125
0.3217 0.3217 0.4818
0.3217 0.4818 0.3217
0.3237 0.1405 0.5040
0.3237 0.5040 0.1405
0.3347 0.6009 0.6009
0.3370 0.4994 0.4994
0.3875 0.0457 0.6786
0.3875 0.6786 0.0457
0.3932 0.0090 0.3932
0.3932 0.3932 0.0090
0.3991 0.3991 0.6653
0.3991 0.6653 0.3991
0.4041 0.1355 0.9196
0.4041 0.9196 0.1355
0.4818 0.3217 0.3217
0.4960 0.6763 0.8595
0.4960 0.8595 0.6763
0.4969 0.1627 0.4969
0.4969 0.4969 0.1627
0.4994 0.3370 0.4994
0.4994 0.4994 0.3370
0.5006 0.5006 0.6630
0.5006 0.6630 0.5006
0.5031 0.5031 0.8373
0.5031 0.8373 0.5031
0.5040 0.1405 0.3237
0.5040 0.3237 0.1405
0.5182 0.6783 0.6783
0.5959 0.0804 0.8645
0.5959 0.8645 0.0804
0.6009 0.3347 0.6009
0.6009 0.6009 0.3347
0.6068 0.6068 0.9910
0.6068 0.9910 0.6068
0.6125 0.3214 0.9543
0.6125 0.9543 0.3214
0.6630 0.5006 0.5006
0.6653 0.3991 0.3991
0.6763 0.4960 0.8595
0.6763 0.8595 0.4960
0.6783 0.5182 0.6783
0.6783 0.6783 0.5182
0.6786 0.0457 0.3875
0.6786 0.3875 0.0457
0.6995 0.1750 0.8782
0.6995 0.8782 0.1750
0.7008 0.1854 0.7008
0.7008 0.7008 0.1854
0.7028 0.0048 0.7028
0.7028 0.7028 0.0048
0.7140 0.9903 0.9903
0.7171 0.8872 0.8872
0.8146 0.2992 0.2992
0.8250 0.1218 0.3005
0.8250 0.3005 0.1218
0.8373 0.5031 0.5031
0.8595 0.4960 0.6763
0.8595 0.6763 0.4960
0.8645 0.0804 0.5959
0.8645 0.5959 0.0804
0.8782 0.1750 0.6995
0.8782 0.6995 0.1750
0.8872 0.7171 0.8872
0.8872 0.8872 0.7171
0.8933 0.8933 0.8933
0.9196 0.1355 0.4041
0.9196 0.4041 0.1355
0.9543 0.3214 0.6125
0.9543 0.6125 0.3214
0.9903 0.7140 0.9903
0.9903 0.9903 0.7140
0.9910 0.6068 0.6068
0.9952 0.2972 0.2972
```